The following is a DFT calculation (PBE) of a relaxed structure of TiS2O8.

Summary:
E_form: -2.2120 eV per atom
polymorph energy (0 for the lowest one): 0.0032 eV per atom
final energy: -6.781 eV/atom

Lattice parameters (Å, degrees): 9.125 9.182 13.532 90.00 90.00 90.00
Fractional coordinates of all 88 atoms:
O (0.467, 0.811, 0.521)
O (0.773, 0.903, 0.720)
O (0.505, 0.225, 0.786)
O (0.505, 0.725, 0.714)
O (0.283, 0.309, 0.427)
O (0.017, 0.484, 0.137)
O (0.533, 0.189, 0.479)
S (0.063, 0.073, 0.283)
S (0.815, 0.659, 0.484)
O (0.694, 0.497, 0.968)
O (0.223, 0.758, 0.899)
O (0.995, 0.725, 0.214)
O (0.983, 0.516, 0.863)
O (0.723, 0.742, 0.899)
O (0.481, 0.015, 0.683)
O (0.495, 0.275, 0.286)
O (0.483, 0.484, 0.637)
O (0.481, 0.515, 0.817)
S (0.437, 0.573, 0.717)
S (0.563, 0.427, 0.283)
O (0.277, 0.758, 0.399)
O (0.983, 0.016, 0.637)
O (0.483, 0.984, 0.863)
O (0.017, 0.984, 0.363)
O (0.277, 0.258, 0.101)
Ti (0.391, 0.644, 0.127)
O (0.495, 0.775, 0.214)
S (0.063, 0.573, 0.217)
O (0.773, 0.403, 0.780)
O (0.694, 0.997, 0.532)
S (0.685, 0.659, 0.984)
O (0.033, 0.811, 0.021)
S (0.937, 0.427, 0.783)
Ti (0.891, 0.356, 0.373)
O (0.995, 0.225, 0.286)
O (0.981, 0.985, 0.817)
O (0.283, 0.809, 0.073)
O (0.783, 0.691, 0.073)
S (0.315, 0.341, 0.016)
O (0.517, 0.016, 0.137)
O (0.533, 0.689, 0.021)
S (0.185, 0.841, 0.984)
S (0.563, 0.927, 0.217)
S (0.315, 0.841, 0.484)
O (0.517, 0.516, 0.363)
O (0.194, 0.003, 0.968)
O (0.727, 0.403, 0.280)
O (0.306, 0.003, 0.468)
O (0.005, 0.775, 0.714)
O (0.777, 0.742, 0.399)
S (0.685, 0.159, 0.516)
Ti (0.609, 0.856, 0.627)
O (0.717, 0.191, 0.927)
S (0.815, 0.159, 0.016)
O (0.217, 0.809, 0.573)
S (0.937, 0.927, 0.717)
O (0.783, 0.191, 0.427)
O (0.223, 0.258, 0.601)
Ti (0.391, 0.144, 0.373)
O (0.981, 0.485, 0.683)
O (0.723, 0.242, 0.601)
S (0.437, 0.073, 0.783)
O (0.019, 0.515, 0.317)
O (0.194, 0.503, 0.532)
O (0.217, 0.309, 0.927)
Ti (0.109, 0.644, 0.627)
O (0.306, 0.503, 0.032)
O (0.467, 0.311, 0.979)
O (0.273, 0.597, 0.720)
O (0.019, 0.015, 0.183)
O (0.227, 0.097, 0.280)
Ti (0.891, 0.856, 0.127)
O (0.227, 0.597, 0.220)
O (0.967, 0.189, 0.979)
S (0.185, 0.341, 0.516)
Ti (0.609, 0.356, 0.873)
O (0.273, 0.097, 0.780)
O (0.005, 0.275, 0.786)
O (0.727, 0.903, 0.220)
O (0.777, 0.242, 0.101)
O (0.519, 0.985, 0.317)
Ti (0.109, 0.144, 0.873)
O (0.967, 0.689, 0.521)
O (0.519, 0.485, 0.183)
O (0.806, 0.497, 0.468)
O (0.806, 0.997, 0.032)
O (0.717, 0.691, 0.573)
O (0.033, 0.311, 0.479)